No. 1
Here is Li2MnP2O7 after structural relaxation from Materials Project. Energies are from GGA+U.

Cell: 7.745 7.745 8.009 Å, 115.05 115.05 42.93°
Fractional positions:
Li: 0.074 0.379 0.307
Li: 0.379 0.074 0.807
Li: 0.621 0.926 0.193
Li: 0.926 0.621 0.693
Mn: 0.000 0.000 0.000
Mn: 0.000 0.000 0.500
P: 0.247 0.524 0.142
P: 0.476 0.753 0.358
P: 0.524 0.247 0.642
P: 0.753 0.476 0.858
O: 0.061 0.693 0.282
O: 0.118 0.653 0.973
O: 0.248 0.364 0.586
O: 0.307 0.939 0.218
O: 0.347 0.882 0.527
O: 0.364 0.248 0.086
O: 0.491 0.509 0.250
O: 0.509 0.491 0.750
O: 0.636 0.752 0.914
O: 0.653 0.118 0.473
O: 0.693 0.061 0.782
O: 0.752 0.636 0.414
O: 0.882 0.347 0.027
O: 0.939 0.307 0.718

Calculated values
Relative energy among the computed polymorphs: 0.78 eV per formula unit
Crystal system: monoclinic
Energy of formation: -2606 meV/atom
Total magnetic moment: 10.00 Bohr magnetons per cell
Symmetry: No. 15

=====

No. 2
Here is Al9Fe2Si4HO24 after structural relaxation from Materials Project. Energies are from GGA+U.

Cell: 9.269 9.269 5.782 Å, 90.44 90.44 130.23°
Fractional positions:
Al: 0.000 0.000 0.000
Al: 0.144 0.318 0.735
Al: 0.318 0.144 0.735
Al: 0.325 0.675 0.500
Al: 0.328 0.672 0.000
Al: 0.672 0.328 0.000
Al: 0.675 0.325 0.500
Al: 0.682 0.856 0.265
Al: 0.856 0.682 0.265
Fe: 0.361 0.361 0.266
Fe: 0.639 0.639 0.734
Si: 0.032 0.697 0.761
Si: 0.303 0.968 0.239
Si: 0.697 0.032 0.761
Si: 0.968 0.303 0.239
H: 0.000 0.000 0.500
O: 0.089 0.905 0.780
O: 0.093 0.413 0.478
O: 0.095 0.911 0.220
O: 0.099 0.422 0.013
O: 0.179 0.179 0.528
O: 0.229 0.726 0.751
O: 0.230 0.230 0.954
O: 0.274 0.771 0.249
O: 0.375 0.570 0.743
O: 0.413 0.093 0.478
O: 0.422 0.099 0.013
O: 0.430 0.625 0.257
O: 0.570 0.375 0.743
O: 0.578 0.901 0.987
O: 0.587 0.907 0.522
O: 0.625 0.430 0.257
O: 0.726 0.229 0.751
O: 0.770 0.770 0.046
O: 0.771 0.274 0.249
O: 0.821 0.821 0.472
O: 0.901 0.578 0.987
O: 0.905 0.089 0.780
O: 0.907 0.587 0.522
O: 0.911 0.095 0.220

Calculated values
Crystal system: monoclinic
Energy of formation: -3063 meV/atom
Total magnetic moment: 8.00 Bohr magnetons per cell
Symmetry: No. 12

=====

No. 3
Here is MgFe4H4O8 after structural relaxation from Materials Project. Energies are from GGA+U.

Cell: 8.056 8.056 10.851 Å, 130.97 130.97 22.15°
Fractional positions:
Mg: 0.000 0.000 0.000
Fe: 0.253 0.063 0.324
Fe: 0.366 0.333 0.011
Fe: 0.667 0.634 0.989
Fe: 0.937 0.747 0.676
H: 0.342 0.311 0.242
H: 0.517 0.308 0.571
H: 0.689 0.658 0.758
H: 0.692 0.483 0.429
O: 0.067 0.028 0.866
O: 0.296 0.262 0.122
O: 0.391 0.360 0.852
O: 0.449 0.229 0.541
O: 0.640 0.609 0.148
O: 0.738 0.704 0.878
O: 0.771 0.551 0.459
O: 0.972 0.933 0.134

Calculated values
Relative energy among the computed polymorphs: 0.51 eV per formula unit
Crystal system: monoclinic
Energy of formation: -1549 meV/atom
Total magnetic moment: 18.00 Bohr magnetons per cell
Symmetry: No. 5

=====

No. 4
Here is Mg2V2Si3O12 after structural relaxation from Materials Project. Energies are from GGA+U.

Cell: 10.203 10.203 10.203 Å, 109.89 109.89 108.64°
Fractional positions:
Mg: 0.129 0.250 0.379
Mg: 0.250 0.371 0.121
Mg: 0.250 0.871 0.621
Mg: 0.371 0.750 0.121
Mg: 0.629 0.250 0.879
Mg: 0.750 0.129 0.379
Mg: 0.750 0.629 0.879
Mg: 0.871 0.750 0.621
V: 0.000 0.000 0.000
V: 0.000 0.000 0.500
V: 0.000 0.500 0.000
V: 0.000 0.500 0.500
V: 0.500 0.000 0.000
V: 0.500 0.000 0.500
V: 0.500 0.500 0.000
V: 0.500 0.500 0.500
Si: 0.125 0.875 0.250
Si: 0.126 0.750 0.876
Si: 0.250 0.126 0.876
Si: 0.250 0.626 0.376
Si: 0.374 0.250 0.624
Si: 0.375 0.625 0.750
Si: 0.625 0.375 0.250
Si: 0.626 0.750 0.376
Si: 0.750 0.374 0.624
Si: 0.750 0.874 0.124
Si: 0.874 0.250 0.124
Si: 0.875 0.125 0.750
O: 0.012 0.308 0.904
O: 0.017 0.206 0.125
O: 0.081 0.706 0.689
O: 0.097 0.892 0.404
O: 0.108 0.012 0.204
O: 0.108 0.983 0.689
O: 0.111 0.622 0.423
O: 0.122 0.611 0.923
O: 0.187 0.199 0.577
O: 0.192 0.488 0.596
O: 0.199 0.122 0.011
O: 0.206 0.581 0.189
O: 0.294 0.483 0.375
O: 0.301 0.313 0.923
O: 0.308 0.903 0.296
O: 0.313 0.889 0.011
O: 0.378 0.301 0.489
O: 0.389 0.813 0.511
O: 0.392 0.081 0.875
O: 0.392 0.597 0.904
O: 0.403 0.808 0.796
O: 0.419 0.108 0.625
O: 0.483 0.608 0.189
O: 0.488 0.392 0.296
O: 0.512 0.608 0.704
O: 0.517 0.392 0.811
O: 0.581 0.892 0.375
O: 0.597 0.192 0.204
O: 0.608 0.403 0.096
O: 0.608 0.919 0.125
O: 0.611 0.187 0.489
O: 0.622 0.699 0.511
O: 0.687 0.111 0.989
O: 0.692 0.097 0.704
O: 0.699 0.687 0.077
O: 0.706 0.517 0.625
O: 0.794 0.419 0.811
O: 0.801 0.878 0.989
O: 0.808 0.512 0.404
O: 0.813 0.801 0.423
O: 0.878 0.389 0.077
O: 0.889 0.378 0.577
O: 0.892 0.017 0.311
O: 0.892 0.988 0.796
O: 0.903 0.108 0.596
O: 0.919 0.294 0.311
O: 0.983 0.794 0.875
O: 0.988 0.692 0.096

Calculated values
Crystal system: tetragonal
Energy of formation: -2905 meV/atom
Total magnetic moment: 8.00 Bohr magnetons per cell
Symmetry: No. 142

=====

No. 5
Here is MgMn6O8F4 after structural relaxation from Materials Project. Energies are from GGA+U.

Cell: 5.759 5.961 7.066 Å, 73.37 74.67 82.61°
Fractional positions:
Mg: 0.000 0.000 0.000
Mn: 0.374 0.781 0.186
Mn: 0.380 0.793 0.663
Mn: 0.618 0.205 0.338
Mn: 0.625 0.217 0.814
Mn: 0.998 0.500 0.000
Mn: 0.999 0.500 0.500
O: 0.116 0.589 0.708
O: 0.241 0.726 0.967
O: 0.333 0.476 0.346
O: 0.437 0.926 0.374
O: 0.562 0.072 0.626
O: 0.665 0.522 0.655
O: 0.757 0.272 0.034
O: 0.882 0.410 0.293
F: 0.021 0.133 0.705
F: 0.286 0.150 0.015
F: 0.714 0.847 0.986
F: 0.978 0.865 0.295

Calculated values
Relative energy among the computed polymorphs: 0.30 eV per formula unit
Crystal system: triclinic
Energy of formation: -2297 meV/atom
Total magnetic moment: 24.00 Bohr magnetons per cell
Symmetry: No. 1

=====

No. 6
Here is Li4Cr3FeO8 after structural relaxation from Materials Project. Energies are from GGA+U.

Cell: 5.146 5.954 10.729 Å, 97.96 103.82 106.82°
Fractional positions:
Li: 0.000 0.000 0.000
Li: 0.000 0.500 0.000
Li: 0.249 0.374 0.250
Li: 0.250 0.875 0.250
Li: 0.500 0.250 0.500
Li: 0.500 0.750 0.500
Li: 0.750 0.125 0.750
Li: 0.751 0.626 0.750
Cr: 0.125 0.437 0.625
Cr: 0.125 0.938 0.625
Cr: 0.375 0.813 0.875
Cr: 0.625 0.187 0.125
Cr: 0.875 0.062 0.375
Cr: 0.875 0.563 0.375
Fe: 0.375 0.313 0.875
Fe: 0.625 0.687 0.125
O: 0.083 0.971 0.810
O: 0.084 0.475 0.810
O: 0.163 0.401 0.439
O: 0.163 0.900 0.439
O: 0.332 0.347 0.062
O: 0.333 0.850 0.060
O: 0.414 0.776 0.690
O: 0.416 0.276 0.688
O: 0.584 0.724 0.312
O: 0.586 0.224 0.310
O: 0.667 0.150 0.940
O: 0.668 0.653 0.938
O: 0.837 0.100 0.561
O: 0.837 0.599 0.561
O: 0.916 0.525 0.190
O: 0.917 0.029 0.190

Calculated values
Relative energy among the computed polymorphs: 0.11 eV per formula unit
Crystal system: triclinic
Energy of formation: -2286 meV/atom
Total magnetic moment: 28.00 Bohr magnetons per cell
Symmetry: No. 2

=====

No. 7
Here is VOF after structural relaxation from Materials Project. Energies are from GGA+U.

Cell: 5.226 4.675 5.713 Å, 90.00 92.38 90.00°
Fractional positions:
V: 0.223 0.018 0.344
V: 0.223 0.482 0.844
V: 0.777 0.518 0.156
V: 0.777 0.982 0.656
O: 0.081 0.220 0.621
O: 0.081 0.280 0.121
O: 0.919 0.720 0.879
O: 0.919 0.780 0.379
F: 0.418 0.731 0.112
F: 0.418 0.769 0.612
F: 0.582 0.231 0.388
F: 0.582 0.269 0.888

Calculated values
Crystal system: monoclinic
Energy of formation: -2809 meV/atom
Total magnetic moment: 8.00 Bohr magnetons per cell
Symmetry: No. 14

=====

No. 8
Here is LiMo2P2O11 after structural relaxation from Materials Project. Energies are from GGA+U.

Cell: 7.913 12.896 8.665 Å, 90.00 107.38 90.00°
Fractional positions:
Li: 0.000 0.000 0.000
Li: 0.000 0.500 0.000
Li: 0.344 0.250 0.536
Li: 0.656 0.750 0.464
Mo: 0.188 0.250 0.153
Mo: 0.230 0.502 0.652
Mo: 0.230 0.998 0.652
Mo: 0.236 0.750 0.190
Mo: 0.764 0.250 0.810
Mo: 0.770 0.002 0.348
Mo: 0.770 0.498 0.348
Mo: 0.812 0.750 0.847
P: 0.179 0.250 0.755
P: 0.314 0.008 0.264
P: 0.314 0.492 0.264
P: 0.361 0.750 0.598
P: 0.639 0.250 0.402
P: 0.686 0.508 0.736
P: 0.686 0.992 0.736
P: 0.821 0.750 0.245
O: 0.000 0.000 0.500
O: 0.000 0.500 0.500
O: 0.023 0.750 0.291
O: 0.038 0.750 0.976
O: 0.148 0.250 0.339
O: 0.166 0.516 0.823
O: 0.166 0.984 0.823
O: 0.205 0.590 0.190
O: 0.205 0.910 0.190
O: 0.208 0.094 0.144
O: 0.208 0.406 0.144
O: 0.247 0.157 0.674
O: 0.247 0.343 0.674
O: 0.252 0.654 0.610
O: 0.252 0.846 0.610
O: 0.262 0.250 0.938
O: 0.314 0.032 0.436
O: 0.314 0.468 0.436
O: 0.400 0.750 0.431
O: 0.403 0.750 0.105
O: 0.458 0.250 0.270
O: 0.498 0.501 0.755
O: 0.498 0.999 0.755
O: 0.502 0.001 0.245
O: 0.502 0.499 0.245
O: 0.542 0.750 0.730
O: 0.597 0.250 0.895
O: 0.600 0.250 0.569
O: 0.686 0.532 0.564
O: 0.686 0.968 0.564
O: 0.738 0.750 0.062
O: 0.748 0.154 0.390
O: 0.748 0.346 0.390
O: 0.753 0.657 0.326
O: 0.753 0.843 0.326
O: 0.792 0.594 0.856
O: 0.792 0.906 0.856
O: 0.795 0.090 0.810
O: 0.795 0.410 0.810
O: 0.834 0.016 0.177
O: 0.834 0.484 0.177
O: 0.852 0.750 0.661
O: 0.962 0.250 0.024
O: 0.977 0.250 0.709

Calculated values
Crystal system: monoclinic
Energy of formation: -2358 meV/atom
Total magnetic moment: 4.00 Bohr magnetons per cell
Symmetry: No. 11

=====

No. 9
Here is Li3Mn2CoO6 after structural relaxation from Materials Project. Energies are from GGA+U.

Cell: 2.877 9.026 9.823 Å, 116.86 91.23 90.10°
Fractional positions:
Li: 0.000 0.000 0.000
Li: 0.000 0.343 0.668
Li: 0.000 0.657 0.332
Li: 0.497 0.657 0.833
Li: 0.500 0.000 0.500
Li: 0.503 0.343 0.167
Mn: 0.001 0.172 0.330
Mn: 0.500 0.171 0.830
Mn: 0.500 0.829 0.170
Mn: 0.999 0.828 0.670
Co: 0.000 0.500 0.000
Co: 0.500 0.500 0.500
O: 0.004 0.909 0.323
O: 0.007 0.249 0.983
O: 0.032 0.424 0.343
O: 0.470 0.577 0.156
O: 0.491 0.750 0.517
O: 0.497 0.091 0.178
O: 0.503 0.909 0.822
O: 0.509 0.250 0.483
O: 0.530 0.423 0.844
O: 0.968 0.576 0.657
O: 0.993 0.751 0.017
O: 0.996 0.091 0.677

Calculated values
Relative energy among the computed polymorphs: 0.31 eV per formula unit
Crystal system: triclinic
Energy of formation: -1977 meV/atom
Total magnetic moment: 0.00 Bohr magnetons per cell
Symmetry: No. 2

=====

No. 10
Here is Li7Mn5O12 after structural relaxation from Materials Project. Energies are from GGA+U.

Cell: 5.296 6.057 15.062 Å, 97.70 93.89 111.00°
Fractional positions:
Li: 0.000 0.000 0.000
Li: 0.085 0.676 0.577
Li: 0.108 0.141 0.582
Li: 0.225 0.509 0.743
Li: 0.242 0.999 0.747
Li: 0.407 0.851 0.917
Li: 0.414 0.329 0.921
Li: 0.500 0.000 0.500
Li: 0.586 0.671 0.079
Li: 0.593 0.149 0.083
Li: 0.758 0.001 0.253
Li: 0.775 0.491 0.257
Li: 0.892 0.859 0.418
Li: 0.915 0.324 0.423
Mn: 0.000 0.500 0.000
Mn: 0.160 0.841 0.165
Mn: 0.166 0.336 0.165
Mn: 0.337 0.671 0.336
Mn: 0.343 0.162 0.336
Mn: 0.500 0.500 0.500
Mn: 0.657 0.838 0.664
Mn: 0.663 0.329 0.664
Mn: 0.834 0.664 0.835
Mn: 0.840 0.159 0.835
O: 0.052 0.848 0.285
O: 0.061 0.351 0.286
O: 0.082 0.000 0.870
O: 0.120 0.477 0.881
O: 0.223 0.182 0.455
O: 0.249 0.643 0.458
O: 0.251 0.355 0.043
O: 0.277 0.819 0.045
O: 0.381 0.517 0.620
O: 0.389 0.019 0.628
O: 0.405 0.677 0.205
O: 0.445 0.152 0.209
O: 0.555 0.848 0.791
O: 0.595 0.323 0.795
O: 0.611 0.981 0.372
O: 0.619 0.483 0.380
O: 0.723 0.181 0.955
O: 0.749 0.645 0.957
O: 0.751 0.357 0.542
O: 0.777 0.818 0.545
O: 0.880 0.523 0.119
O: 0.918 0.000 0.130
O: 0.939 0.649 0.714
O: 0.948 0.152 0.715

Calculated values
Relative energy among the computed polymorphs: 0.47 eV per formula unit
Crystal system: triclinic
Energy of formation: -2137 meV/atom
Total magnetic moment: 36.00 Bohr magnetons per cell
Symmetry: No. 2

=====

Question: The highest total magnetic moment belongs to which entry?
Answer: Li7Mn5O12